Here is a geometry-optimized Fe6O7F5 structure from the Materials Project. Energies are from PBE with a Hubbard U.

**Energy relative to the elements**: -1.9127 eV/atom
**Size of the total moment**: 29.00 μB/f.u.

a = 4.753 Å, b = 9.182 Å, c = 4.754 Å
α = 90.00°, β = 93.83°, γ = 90.00°
Space group Pm (No. 6)
One atom of each set of equivalent atoms:
Fe 0.000 0.000 0.000 x1
Fe 0.040 0.327 0.021 x2
Fe 0.538 0.500 0.517 x1
Fe 0.582 0.175 0.489 x2
O 0.352 0.341 0.318 x2
O 0.730 0.000 0.681 x1
O 0.740 0.344 0.707 x2
O 0.853 0.169 0.192 x2
F 0.232 0.500 0.827 x1
F 0.236 0.165 0.810 x2
F 0.342 0.000 0.296 x1
F 0.856 0.500 0.208 x1

=====

Here is a geometry-optimized Fe4OF8 structure from the Materials Project. Energies are from PBE with a Hubbard U.

**Energy relative to the elements**: -2.3766 eV/atom
**Size of the total moment**: 18.00 μB/f.u.

a = 9.402 Å, b = 5.359 Å, c = 14.956 Å
α = 90.00°, β = 90.51°, γ = 90.00°
Space group Cc (No. 9)
One atom of each set of equivalent atoms:
Fe 0.000 0.004 0.000 x4
Fe 0.002 0.029 0.695 x4
Fe 0.158 0.473 0.544 x4
Fe 0.170 0.484 0.337 x4
O 0.024 0.267 0.592 x4
F 0.031 0.306 0.269 x4
F 0.040 0.347 0.939 x4
F 0.145 0.202 0.093 x4
F 0.152 0.203 0.778 x4
F 0.158 0.214 0.434 x4
F 0.308 0.395 0.938 x4
F 0.330 0.369 0.273 x4
F 0.343 0.365 0.594 x4

=====

Here is a geometry-optimized Fe6O5F7 structure from the Materials Project. Energies are from PBE with a Hubbard U.

**Energy relative to the elements**: -2.0980 eV/atom
**Size of the total moment**: 29.00 μB/f.u.

a = 5.724 Å, b = 5.730 Å, c = 7.589 Å
α = 70.58°, β = 70.45°, γ = 70.34°
Space group P1 (No. 1)
One atom of each set of equivalent atoms:
Fe 0.000 0.000 0.000 x1
Fe 0.011 0.949 0.485 x1
Fe 0.307 0.303 0.667 x1
Fe 0.333 0.259 0.161 x1
Fe 0.635 0.648 0.329 x1
Fe 0.655 0.650 0.828 x1
O 0.104 0.068 0.193 x1
O 0.312 0.640 0.501 x1
O 0.358 0.942 0.825 x1
O 0.642 0.988 0.160 x1
O 0.952 0.347 0.826 x1
F 0.026 0.589 0.168 x1
F 0.239 0.207 0.453 x1
F 0.426 0.407 0.871 x1
F 0.553 0.528 0.126 x1
F 0.694 0.268 0.496 x1
F 0.749 0.723 0.533 x1
F 0.888 0.867 0.795 x1

=====

Here is a geometry-optimized Fe4OF7 structure from the Materials Project. Energies are from PBE with a Hubbard U.

**Energy relative to the elements**: -2.3666 eV/atom
**Size of the total moment**: 17.00 μB/f.u.

a = 5.791 Å, b = 5.803 Å, c = 10.337 Å
α = 97.80°, β = 99.93°, γ = 116.59°
Space group P1 (No. 1)
One atom of each set of equivalent atoms:
Fe 0.000 0.000 0.000 x1
Fe 0.084 0.600 0.241 x1
Fe 0.268 0.242 0.509 x1
Fe 0.379 0.896 0.741 x1
Fe 0.511 0.501 0.004 x1
Fe 0.643 0.160 0.242 x1
Fe 0.735 0.755 0.490 x1
Fe 0.850 0.364 0.741 x1
O 0.473 0.172 0.644 x1
O 0.713 0.428 0.140 x1
F 0.039 0.845 0.392 x1
F 0.041 0.322 0.358 x1
F 0.190 0.403 0.094 x1
F 0.220 0.929 0.147 x1
F 0.266 0.582 0.841 x1
F 0.287 0.100 0.892 x1
F 0.444 0.654 0.596 x1
F 0.512 0.829 0.340 x1
F 0.551 0.354 0.393 x1
F 0.693 0.907 0.096 x1
F 0.781 0.075 0.853 x1
F 0.799 0.606 0.892 x1
F 0.943 0.152 0.596 x1
F 0.962 0.679 0.641 x1

=====

Here is a geometry-optimized Fe7O3F9 structure from the Materials Project. Energies are from PBE with a Hubbard U.

**Energy relative to the elements**: -2.2032 eV/atom
**Size of the total moment**: 29.00 μB/f.u.

a = 5.495 Å, b = 5.705 Å, c = 9.130 Å
α = 75.42°, β = 89.51°, γ = 62.14°
Space group P1 (No. 1)
One atom of each set of equivalent atoms:
Fe 0.000 0.000 0.000 x1
Fe 0.012 0.879 0.360 x1
Fe 0.170 0.501 0.743 x1
Fe 0.278 0.362 0.103 x1
Fe 0.454 0.971 0.509 x1
Fe 0.541 0.871 0.858 x1
Fe 0.710 0.425 0.589 x1
O 0.240 0.180 0.939 x1
O 0.309 0.654 0.553 x1
O 0.736 0.680 0.699 x1
F 0.139 0.203 0.626 x1
F 0.210 0.142 0.306 x1
F 0.242 0.674 0.205 x1
F 0.292 0.672 0.897 x1
F 0.703 0.178 0.790 x1
F 0.712 0.162 0.475 x1
F 0.722 0.150 0.155 x1
F 0.770 0.671 0.404 x1
F 0.858 0.701 0.031 x1

=====

Here is a geometry-optimized Fe4O7F structure from the Materials Project. Energies are from PBE with a Hubbard U.

**Energy relative to the elements**: -1.4584 eV/atom
**Size of the total moment**: 17.11 μB/f.u.

a = 6.027 Å, b = 6.419 Å, c = 6.610 Å
α = 90.00°, β = 90.00°, γ = 90.00°
Space group Amm2 (No. 38)
One atom of each set of equivalent atoms:
Fe 0.000 0.000 0.000 x2
Fe 0.241 0.000 0.496 x4
Fe 0.500 0.000 0.023 x2
O 0.000 0.000 0.301 x2
O 0.000 0.000 0.691 x2
O 0.253 0.193 0.004 x8
O 0.500 0.000 0.321 x2
F 0.500 0.000 0.705 x2

=====

Here is a geometry-optimized Fe5O3F7 structure from the Materials Project. Energies are from PBE with a Hubbard U.

**Energy relative to the elements**: -2.2291 eV/atom
**Size of the total moment**: 23.00 μB/f.u.

a = 4.784 Å, b = 4.789 Å, c = 15.747 Å
α = 89.99°, β = 89.96°, γ = 89.85°
Space group P1 (No. 1)
One atom of each set of equivalent atoms:
Fe 0.000 0.000 0.000 x1
Fe 0.000 0.015 0.793 x1
Fe 0.443 0.516 0.706 x1
Fe 0.456 0.554 0.901 x1
Fe 0.459 0.513 0.499 x1
Fe 0.461 0.507 0.292 x1
Fe 0.473 0.533 0.099 x1
Fe 0.947 0.074 0.205 x1
Fe 0.996 0.057 0.598 x1
Fe 0.999 0.055 0.399 x1
O 0.144 0.212 0.299 x1
O 0.158 0.214 0.498 x1
O 0.176 0.228 0.692 x1
O 0.291 0.711 0.801 x1
O 0.300 0.708 0.003 x1
O 0.657 0.341 0.190 x1
F 0.168 0.230 0.104 x1
F 0.192 0.224 0.900 x1
F 0.252 0.739 0.191 x1
F 0.263 0.726 0.395 x1
F 0.269 0.725 0.604 x1
F 0.669 0.326 0.605 x1
F 0.671 0.314 0.398 x1
F 0.675 0.326 0.802 x1
F 0.683 0.324 0.998 x1
F 0.765 0.815 0.688 x1
F 0.767 0.837 0.300 x1
F 0.772 0.828 0.499 x1
F 0.774 0.835 0.106 x1
F 0.782 0.817 0.898 x1

=====

Here is a geometry-optimized Fe4OF7 structure from the Materials Project. Energies are from PBE with a Hubbard U.

**Energy relative to the elements**: -2.4175 eV/atom
**Size of the total moment**: 17.00 μB/f.u.

a = 4.810 Å, b = 6.488 Å, c = 10.160 Å
α = 71.55°, β = 89.20°, γ = 89.74°
Space group P1 (No. 1)
One atom of each set of equivalent atoms:
Fe 0.000 0.000 0.000 x1
Fe 0.001 0.216 0.500 x1
Fe 0.464 0.095 0.268 x1
Fe 0.474 0.346 0.766 x1
Fe 0.481 0.853 0.757 x1
Fe 0.494 0.603 0.253 x1
Fe 0.992 0.468 0.004 x1
Fe 0.993 0.734 0.503 x1
O 0.173 0.036 0.415 x1
O 0.178 0.257 0.914 x1
F 0.181 0.791 0.909 x1
F 0.185 0.508 0.409 x1
F 0.272 0.893 0.157 x1
F 0.277 0.154 0.655 x1
F 0.285 0.651 0.657 x1
F 0.286 0.407 0.157 x1
F 0.686 0.793 0.357 x1
F 0.687 0.557 0.857 x1
F 0.692 0.043 0.861 x1
F 0.694 0.307 0.360 x1
F 0.773 0.156 0.112 x1
F 0.782 0.944 0.608 x1
F 0.792 0.409 0.604 x1
F 0.797 0.697 0.100 x1

=====

Here is a geometry-optimized Fe2O3F structure from the Materials Project. Energies are from PBE with a Hubbard U.

**Energy relative to the elements**: -1.6496 eV/atom
**Size of the total moment**: 9.00 μB/f.u.

a = 4.670 Å, b = 7.617 Å, c = 9.813 Å
α = 70.35°, β = 87.33°, γ = 88.60°
Space group P1 (No. 1)
One atom of each set of equivalent atoms:
Fe 0.000 0.000 0.000 x1
Fe 0.002 0.206 0.393 x1
Fe 0.449 0.105 0.682 x1
Fe 0.465 0.701 0.878 x1
Fe 0.469 0.293 0.085 x1
Fe 0.479 0.895 0.290 x1
Fe 0.507 0.494 0.487 x1
Fe 0.930 0.386 0.786 x1
Fe 0.945 0.595 0.168 x1
Fe 0.955 0.810 0.587 x1
O 0.164 0.362 0.203 x1
O 0.167 0.158 0.812 x1
O 0.167 0.755 0.006 x1
O 0.170 0.965 0.412 x1
O 0.280 0.860 0.709 x1
O 0.285 0.275 0.505 x1
O 0.290 0.056 0.120 x1
O 0.646 0.536 0.052 x1
O 0.660 0.337 0.664 x1
O 0.668 0.733 0.465 x1
O 0.770 0.640 0.762 x1
O 0.772 0.233 0.974 x1
O 0.777 0.051 0.563 x1
O 0.779 0.829 0.166 x1
O 0.788 0.439 0.355 x1
F 0.166 0.561 0.606 x1
F 0.263 0.457 0.899 x1
F 0.279 0.656 0.311 x1
F 0.667 0.938 0.866 x1
F 0.675 0.138 0.270 x1

=====

Here is a geometry-optimized Fe3O5F structure from the Materials Project. Energies are from PBE with a Hubbard U.

**Energy relative to the elements**: -1.5231 eV/atom
**Size of the total moment**: 13.02 μB/f.u.

a = 4.645 Å, b = 5.553 Å, c = 7.583 Å
α = 85.53°, β = 88.85°, γ = 87.40°
Space group P-1 (No. 2)
One atom of each set of equivalent atoms:
Fe 0.000 0.000 0.000 x1
Fe 0.012 0.346 0.667 x2
Fe 0.479 0.821 0.658 x2
Fe 0.500 0.500 0.000 x1
O 0.184 0.290 0.896 x2
O 0.190 0.633 0.555 x2
O 0.304 0.797 0.896 x2
O 0.306 0.128 0.566 x2
O 0.309 0.461 0.231 x2
F 0.203 0.965 0.236 x2

=====

Here is a geometry-optimized Fe2O3F structure from the Materials Project. Energies are from PBE with a Hubbard U.

**Energy relative to the elements**: -1.1271 eV/atom
**Size of the total moment**: 0.03 μB/f.u.

a = 6.017 Å, b = 13.816 Å, c = 6.391 Å
α = 90.00°, β = 90.00°, γ = 90.00°
Space group Cmcm (No. 63)
One atom of each set of equivalent atoms:
Fe 0.000 0.114 0.250 x4
Fe 0.000 0.372 0.750 x4
Fe 0.249 0.376 0.250 x8
O 0.000 0.034 0.750 x4
O 0.000 0.289 0.250 x4
O 0.249 0.125 0.055 x16
F 0.000 0.225 0.750 x4
F 0.000 0.478 0.250 x4

=====

Here is a geometry-optimized Fe5O8F2 structure from the Materials Project. Energies are from PBE with a Hubbard U.

**Energy relative to the elements**: -1.5700 eV/atom
**Size of the total moment**: 22.03 μB/f.u.

a = 4.649 Å, b = 5.549 Å, c = 12.959 Å
α = 102.20°, β = 90.42°, γ = 91.31°
Space group P1 (No. 1)
One atom of each set of equivalent atoms:
Fe 0.000 0.000 0.000 x1
Fe 0.002 0.171 0.795 x1
Fe 0.022 0.575 0.389 x1
Fe 0.028 0.769 0.189 x1
Fe 0.482 0.101 0.397 x1
Fe 0.492 0.891 0.600 x1
Fe 0.505 0.294 0.192 x1
Fe 0.525 0.472 0.991 x1
Fe 0.537 0.689 0.791 x1
Fe 0.991 0.381 0.587 x1
O 0.201 0.638 0.527 x1
O 0.201 0.838 0.331 x1
O 0.202 0.239 0.935 x1
O 0.205 0.037 0.132 x1
O 0.310 0.939 0.738 x1
O 0.312 0.143 0.536 x1
O 0.319 0.336 0.324 x1
O 0.325 0.539 0.126 x1
O 0.702 0.427 0.854 x1
O 0.702 0.633 0.652 x1
O 0.704 0.231 0.060 x1
O 0.812 0.330 0.447 x1
O 0.814 0.930 0.865 x1
O 0.815 0.132 0.656 x1
O 0.820 0.529 0.254 x1
O 0.823 0.730 0.053 x1
F 0.203 0.447 0.735 x1
F 0.313 0.738 0.932 x1
F 0.702 0.835 0.453 x1
F 0.704 0.020 0.253 x1